[1]
Compound: SrAgB7O12
Source: the Materials Project
Functional: PBE
Structure: optimized geometry

Computed properties:
Its energy of formation is -2.776 eV per atom. The value obtained for the total energy after the MP2020 corrections is -8.046 eV/atom.

Cell and atoms, written as CIF:
```
data_SrAgB7O12
_space_group_name_H-M_alt 'P 1'
_space_group_IT_number 1
_cell_length_a 6.749
_cell_length_b 6.749
_cell_length_c 22.371
_cell_angle_alpha 91.24
_cell_angle_beta 91.24
_cell_angle_gamma 120.30
loop_
_space_group_symop_operation_xyz
'x,y,z'
loop_
_atom_site_label
_atom_site_fract_x
_atom_site_fract_y
_atom_site_fract_z
Sr1 0.161 0.830 0.942
Sr2 0.170 0.839 0.558
Sr3 0.830 0.161 0.442
Sr4 0.839 0.170 0.058
Ag1 0.264 0.459 0.700
Ag2 0.459 0.264 0.200
Ag3 0.541 0.736 0.800
Ag4 0.736 0.541 0.300
B1 0.037 0.723 0.789
B2 0.137 0.230 0.308
B3 0.160 0.825 0.416
B4 0.162 0.707 0.192
B5 0.175 0.840 0.084
B6 0.230 0.137 0.808
B7 0.261 0.333 0.907
B8 0.269 0.427 0.564
B9 0.277 0.963 0.711
B10 0.293 0.838 0.308
B11 0.333 0.261 0.407
B12 0.345 0.583 0.063
B13 0.417 0.655 0.437
B14 0.427 0.269 0.064
B15 0.573 0.731 0.936
B16 0.583 0.345 0.563
B17 0.655 0.417 0.937
B18 0.667 0.739 0.593
B19 0.707 0.162 0.692
B20 0.723 0.037 0.289
B21 0.731 0.573 0.436
B22 0.739 0.667 0.093
B23 0.770 0.863 0.192
B24 0.825 0.160 0.916
B25 0.838 0.293 0.808
B26 0.840 0.175 0.584
B27 0.863 0.770 0.692
B28 0.963 0.277 0.211
O1 0.042 0.175 0.931
O2 0.043 0.362 0.554
O3 0.046 0.479 0.176
O4 0.077 0.877 0.667
O5 0.123 0.923 0.833
O6 0.129 0.761 0.352
O7 0.159 0.289 0.249
O8 0.174 0.633 0.056
O9 0.175 0.042 0.431
O10 0.209 0.791 0.250
O11 0.231 0.769 0.750
O12 0.239 0.871 0.148
O13 0.263 0.427 0.432
O14 0.270 0.346 0.064
O15 0.279 0.332 0.841
O16 0.289 0.159 0.749
O17 0.332 0.279 0.341
O18 0.344 0.577 0.927
O19 0.346 0.270 0.564
O20 0.362 0.043 0.054
O21 0.367 0.826 0.444
O22 0.423 0.656 0.573
O23 0.427 0.263 0.932
O24 0.479 0.046 0.676
O25 0.521 0.954 0.324
O26 0.573 0.737 0.068
O27 0.577 0.344 0.427
O28 0.633 0.174 0.556
O29 0.638 0.957 0.946
O30 0.654 0.730 0.436
O31 0.656 0.423 0.073
O32 0.668 0.721 0.659
O33 0.711 0.841 0.251
O34 0.721 0.668 0.159
O35 0.730 0.654 0.936
O36 0.737 0.573 0.568
O37 0.761 0.129 0.852
O38 0.769 0.231 0.250
O39 0.791 0.209 0.750
O40 0.825 0.958 0.569
O41 0.826 0.367 0.944
O42 0.841 0.711 0.751
O43 0.871 0.239 0.648
O44 0.877 0.077 0.167
O45 0.923 0.123 0.333
O46 0.954 0.521 0.824
O47 0.957 0.638 0.446
O48 0.958 0.825 0.069
```


[2]
Compound: Dy2Sb2O7
Source: the Materials Project
Functional: PBE
Structure: optimized geometry

Computed properties:
Its energy of formation is -2.728 eV per atom. The value obtained for the total energy after the MP2020 corrections is -7.465 eV/atom.

Cell and atoms, written as CIF:
```
data_Dy2Sb2O7
_space_group_name_H-M_alt 'P 1'
_space_group_IT_number 1
_cell_length_a 7.535
_cell_length_b 7.535
_cell_length_c 7.535
_cell_angle_alpha 60.00
_cell_angle_beta 60.00
_cell_angle_gamma 60.00
loop_
_space_group_symop_operation_xyz
'x,y,z'
loop_
_atom_site_label
_atom_site_fract_x
_atom_site_fract_y
_atom_site_fract_z
Dy1 0.000 0.000 0.000
Dy2 0.000 0.000 0.500
Dy3 0.000 0.500 0.000
Dy4 0.500 0.000 0.000
Sb1 0.000 0.500 0.500
Sb2 0.500 0.000 0.500
Sb3 0.500 0.500 0.000
Sb4 0.500 0.500 0.500
O1 0.125 0.125 0.125
O2 0.156 0.156 0.594
O3 0.156 0.594 0.156
O4 0.156 0.594 0.594
O5 0.406 0.406 0.844
O6 0.406 0.844 0.406
O7 0.406 0.844 0.844
O8 0.594 0.156 0.156
O9 0.594 0.156 0.594
O10 0.594 0.594 0.156
O11 0.844 0.406 0.406
O12 0.844 0.406 0.844
O13 0.844 0.844 0.406
O14 0.875 0.875 0.875
```


[3]
Compound: NaGa5O8
Source: the Materials Project
Functional: PBE
Structure: optimized geometry

Computed properties:
Its energy of formation is -2.148 eV per atom. The value obtained for the total energy after the MP2020 corrections is -6.151 eV/atom.

Cell and atoms, written as CIF:
```
data_NaGa5O8
_space_group_name_H-M_alt 'P 1'
_space_group_IT_number 1
_cell_length_a 11.728
_cell_length_b 11.728
_cell_length_c 11.728
_cell_angle_alpha 29.64
_cell_angle_beta 29.64
_cell_angle_gamma 29.64
loop_
_space_group_symop_operation_xyz
'x,y,z'
loop_
_atom_site_label
_atom_site_fract_x
_atom_site_fract_y
_atom_site_fract_z
Na1 0.000 0.000 0.000
Na2 0.480 0.480 0.480
Ga1 0.173 0.173 0.173
Ga2 0.238 0.733 0.733
Ga3 0.269 0.269 0.269
Ga4 0.394 0.394 0.394
Ga5 0.428 0.910 0.910
Ga6 0.733 0.238 0.733
Ga7 0.733 0.733 0.238
Ga8 0.821 0.821 0.821
Ga9 0.910 0.428 0.910
Ga10 0.910 0.910 0.428
O1 0.020 0.020 0.544
O2 0.020 0.544 0.020
O3 0.084 0.634 0.634
O4 0.117 0.117 0.117
O5 0.212 0.212 0.733
O6 0.212 0.733 0.212
O7 0.438 0.438 0.924
O8 0.438 0.924 0.438
O9 0.541 0.541 0.541
O10 0.544 0.020 0.020
O11 0.634 0.084 0.634
O12 0.634 0.634 0.084
O13 0.718 0.718 0.718
O14 0.733 0.212 0.212
O15 0.924 0.438 0.438
O16 0.927 0.927 0.927
```